# 1
A geometry-optimized GdSbPd structure. Source: Materials Project, functional PBE-GGA.

Cell: 4.6269 4.6269 7.5294 Å, 90.00 90.00 120.00°
Fractional coordinates of all 6 atoms:
1 Pd 0.6667 0.3333 0.1779
2 Pd 0.3333 0.6667 0.6779
3 Gd 0.0000 0.0000 0.5020
4 Gd 0.0000 0.0000 0.0020
5 Sb 0.3333 0.6667 0.2753
6 Sb 0.6667 0.3333 0.7753

Computed properties:
Its formation energy is -3.26 eV/f.u.

***

# 2
A geometry-optimized GdSi2Pd2 structure. Source: Materials Project, functional PBE-GGA.

Cell: 5.8078 5.8078 5.8078 Å, 137.75 137.75 61.28°
Fractional coordinates of all 5 atoms:
1 Gd 0.0000 0.0000 0.0000
2 Pd 0.7500 0.2500 0.5000
3 Pd 0.2500 0.7500 0.5000
4 Si 0.6171 0.6171 0.0000
5 Si 0.3829 0.3829 0.0000

Computed properties:
Its formation energy is -4.71 eV/f.u.

***

# 3
A geometry-optimized GdSnPd2 structure. Source: Materials Project, functional PBE-GGA.

Cell: 4.8388 4.8388 4.8388 Å, 60.00 60.00 60.00°
Fractional coordinates of all 4 atoms:
1 Pd 0.2500 0.2500 0.2500
2 Pd 0.7500 0.7500 0.7500
3 Sn 0.0000 0.0000 0.0000
4 Gd 0.5000 0.5000 0.5000

Computed properties:
Its formation energy is -3.36 eV/f.u.

***

# 4
A geometry-optimized PrGdZn2 structure. Source: Materials Project, functional PBE-GGA.

Cell: 3.6918 3.6918 7.2649 Å, 90.00 90.00 90.00°
Fractional coordinates of all 4 atoms:
1 Gd 0.0000 0.0000 0.0000
2 Pr 0.0000 0.0000 0.5000
3 Zn 0.5000 0.5000 0.2382
4 Zn 0.5000 0.5000 0.7618

Computed properties:
Its formation energy is -1.33 eV/f.u.

***

# 5
A geometry-optimized GdPt2 structure. Source: Materials Project, functional PBE-GGA.

Cell: 5.4683 5.4683 5.4683 Å, 60.00 60.00 60.00°
Fractional coordinates of all 6 atoms:
1 Pt 0.1250 0.1250 0.1250
2 Pt 0.6250 0.1250 0.1250
3 Pt 0.1250 0.6250 0.1250
4 Pt 0.1250 0.1250 0.6250
5 Gd 0.5000 0.5000 0.5000
6 Gd 0.7500 0.7500 0.7500

Computed properties:
Its formation energy is -3.29 eV/f.u.

***

# 6
A geometry-optimized GdSiPt2 structure. Source: Materials Project, functional PBE-GGA.

Cell: 5.6050 6.9382 7.4343 Å, 90.00 90.00 90.00°
Fractional coordinates of all 16 atoms:
1 Gd 0.8590 0.2500 0.4713
2 Gd 0.1410 0.7500 0.5287
3 Gd 0.6410 0.2500 0.9713
4 Gd 0.3590 0.7500 0.0287
5 Pt 0.5917 0.9494 0.6782
6 Pt 0.4083 0.0506 0.3218
7 Pt 0.4083 0.4494 0.3218
8 Pt 0.0917 0.0506 0.8218
9 Pt 0.0917 0.4494 0.8218
10 Pt 0.9083 0.5506 0.1782
11 Pt 0.9083 0.9494 0.1782
12 Pt 0.5917 0.5506 0.6782
13 Si 0.8575 0.7500 0.8772
14 Si 0.6425 0.7500 0.3772
15 Si 0.1425 0.2500 0.1228
16 Si 0.3575 0.2500 0.6228

Computed properties:
Its formation energy is -4.53 eV/f.u.

***

# 7
A geometry-optimized GdSiPt structure. Source: Materials Project, functional PBE-GGA.

Cell: 7.8369 7.8369 7.8369 Å, 149.56 149.56 43.58°
Fractional coordinates of all 6 atoms:
1 Si 0.4191 0.4191 0.0000
2 Si 0.1691 0.6691 0.5000
3 Gd 0.9997 0.9997 0.0000
4 Gd 0.7497 0.2497 0.5000
5 Pt 0.5852 0.5852 0.0000
6 Pt 0.3352 0.8352 0.5000

Computed properties:
Its formation energy is -3.46 eV/f.u.

***

# 8
A geometry-optimized RbGdSe2 structure. Source: Materials Project, functional PBE-GGA.

Cell: 4.2969 4.2969 8.3679 Å, 75.12 75.12 60.00°
Fractional coordinates of all 4 atoms:
1 Se 0.2321 0.2321 0.3037
2 Se 0.7679 0.7679 0.6963
3 Rb 0.0000 0.0000 0.0000
4 Gd 0.5000 0.5000 0.5000

Computed properties:
Its formation energy is -7.91 eV/f.u.